1.
# FePd3 | the Materials Project database | PBE | relaxed
data_FePd3
_chemical_formula_sum 'Fe3 Pd9'
_space_group_name_H-M_alt 'R -3 m'
_space_group_IT_number 166
_space_group_name_Hall '-R 3 2"'
_cell_length_a 2.7778
_cell_length_b 2.7778
_cell_length_c 26.4944
_cell_angle_alpha 90.00
_cell_angle_beta 90.00
_cell_angle_gamma 120.00
loop_
_atom_site_label
_atom_site_type_symbol
_atom_site_fract_x
_atom_site_fract_y
_atom_site_fract_z
Fe1 Fe 0.0000 0.0000 0.0000
Pd1 Pd 0.0000 0.0000 0.2552
Pd2 Pd 0.0000 0.0000 0.5000
# Total energy = -6.065 eV per atom

2.
# FePd | the Materials Project database | PBE | relaxed
data_FePd
_chemical_formula_sum 'Fe1 Pd1'
_space_group_name_H-M_alt 'P 4/m m m'
_space_group_IT_number 123
_space_group_name_Hall '-P 4 2'
_cell_length_a 2.716
_cell_length_b 2.716
_cell_length_c 3.777
_cell_angle_alpha 90.00
_cell_angle_beta 90.00
_cell_angle_gamma 90.00
loop_
_atom_site_label
_atom_site_type_symbol
_atom_site_fract_x
_atom_site_fract_y
_atom_site_fract_z
Fe1 Fe 0.000 0.000 0.000
Pd1 Pd 0.500 0.500 0.500
# Total energy = -6.889 eV per atom

3.
# Fe2Pd | the Materials Project database | PBE | relaxed
data_Fe2Pd
_chemical_formula_sum 'Fe2 Pd1'
_space_group_name_H-M_alt 'P -3 m 1'
_space_group_IT_number 164
_space_group_name_Hall '-P 3 2"'
_cell_length_a 2.7651
_cell_length_b 2.7651
_cell_length_c 6.1402
_cell_angle_alpha 90.00
_cell_angle_beta 90.00
_cell_angle_gamma 120.00
loop_
_atom_site_label
_atom_site_type_symbol
_atom_site_fract_x
_atom_site_fract_y
_atom_site_fract_z
Fe1 Fe 0.3333 0.6667 0.1511
Pd1 Pd 0.0000 0.0000 0.5000
# Total energy = -7.301 eV per atom

4.
# FePd3 | the Materials Project database | PBE | relaxed
data_FePd3
_chemical_formula_sum 'Fe1 Pd3'
_space_group_name_H-M_alt 'P m -3 m'
_space_group_IT_number 221
_space_group_name_Hall '-P 4 2 3'
_cell_length_a 3.895
_cell_length_b 3.895
_cell_length_c 3.895
_cell_angle_alpha 90.00
_cell_angle_beta 90.00
_cell_angle_gamma 90.00
loop_
_atom_site_label
_atom_site_type_symbol
_atom_site_fract_x
_atom_site_fract_y
_atom_site_fract_z
Fe1 Fe 0.000 0.000 0.000
Pd1 Pd 0.000 0.500 0.500
# Total energy = -6.111 eV per atom

5.
# FeSb6Pd | the Materials Project database | PBE | relaxed
data_FeSb6Pd
_chemical_formula_sum 'Fe4 Sb24 Pd4'
_space_group_name_H-M_alt 'C 1 2/m 1'
_space_group_IT_number 12
_cell_length_a 13.129
_cell_length_b 9.285
_cell_length_c 9.331
_cell_angle_alpha 90.00
_cell_angle_beta 134.71
_cell_angle_gamma 90.00
loop_
_space_group_symop_operation_xyz
'x,y,z'
'-x,-y,-z'
'-x,y,-z'
'x,-y,z'
'x+1/2,y+1/2,z'
'-x+1/2,-y+1/2,-z'
'-x+1/2,y+1/2,-z'
'x+1/2,-y+1/2,z'
loop_
_atom_site_label
_atom_site_type_symbol
_atom_site_fract_x
_atom_site_fract_y
_atom_site_fract_z
Fe1 Fe 0.250 0.250 0.000
Sb1 Sb 0.010 0.157 0.848
Sb2 Sb 0.152 0.500 0.303
Sb3 Sb 0.156 0.337 0.667
Sb4 Sb 0.172 0.500 0.011
Pd1 Pd 0.250 0.250 0.500
# Total energy = -4.992 eV per atom

6.
# FePd2Se2 | the Materials Project database | PBE | relaxed
data_FePd2Se2
_chemical_formula_sum 'Fe4 Pd8 Se8'
_space_group_name_H-M_alt 'I b a m'
_space_group_IT_number 72
_space_group_name_Hall '-I 2 2c'
_cell_length_a 5.950
_cell_length_b 10.709
_cell_length_c 5.099
_cell_angle_alpha 90.00
_cell_angle_beta 90.00
_cell_angle_gamma 90.00
loop_
_atom_site_label
_atom_site_type_symbol
_atom_site_fract_x
_atom_site_fract_y
_atom_site_fract_z
Fe1 Fe 0.000 0.000 0.250
Pd1 Pd 0.120 0.389 0.000
Se1 Se 0.202 0.144 0.000
# Total energy = -5.429 eV per atom

7.
# Pr2FeSi2Ru | the Materials Project database | PBE | relaxed
data_Pr2FeSi2Ru
_chemical_formula_sum 'Pr2 Fe1 Si2 Ru1'
_space_group_name_H-M_alt 'P -4 m 2'
_space_group_IT_number 115
_cell_length_a 4.161
_cell_length_b 4.161
_cell_length_c 7.048
_cell_angle_alpha 90.00
_cell_angle_beta 90.00
_cell_angle_gamma 90.00
loop_
_space_group_symop_operation_xyz
'x,y,z'
'y,-x,-z'
'-x,-y,z'
'-y,x,-z'
'-x,y,z'
'-y,-x,-z'
'x,-y,z'
'y,x,-z'
loop_
_atom_site_label
_atom_site_type_symbol
_atom_site_fract_x
_atom_site_fract_y
_atom_site_fract_z
Pr1 Pr 0.000 0.500 0.182
Fe1 Fe 0.000 0.000 0.500
Si1 Si 0.000 0.500 0.667
Ru1 Ru 0.500 0.500 0.500
# Total energy = -7.004 eV per atom

8.
# Pr4Fe3Si4Ru | the Materials Project database | PBE | relaxed
data_Pr4Fe3Si4Ru
_chemical_formula_sum 'Pr4 Fe3 Si4 Ru1'
_space_group_name_H-M_alt 'P -4 m 2'
_space_group_IT_number 115
_cell_length_a 4.140
_cell_length_b 4.140
_cell_length_c 14.151
_cell_angle_alpha 90.00
_cell_angle_beta 90.00
_cell_angle_gamma 90.00
loop_
_space_group_symop_operation_xyz
'x,y,z'
'y,-x,-z'
'-x,-y,z'
'-y,x,-z'
'-x,y,z'
'-y,-x,-z'
'x,-y,z'
'y,x,-z'
loop_
_atom_site_label
_atom_site_type_symbol
_atom_site_fract_x
_atom_site_fract_y
_atom_site_fract_z
Pr1 Pr 0.000 0.500 0.155
Pr2 Pr 0.000 0.500 0.662
Fe1 Fe 0.000 0.000 0.000
Fe2 Fe 0.500 0.500 0.000
Fe3 Fe 0.500 0.500 0.500
Si1 Si 0.000 0.500 0.416
Si2 Si 0.000 0.500 0.921
Ru1 Ru 0.000 0.000 0.500
# Total energy = -6.889 eV per atom

9.
# PrFeSb3 | the Materials Project database | PBE | relaxed
data_PrFeSb3
_chemical_formula_sum 'Pr8 Fe8 Sb24'
_space_group_name_H-M_alt 'P b c m'
_space_group_IT_number 57
_cell_length_a 12.888
_cell_length_b 6.183
_cell_length_c 12.187
_cell_angle_alpha 90.00
_cell_angle_beta 90.00
_cell_angle_gamma 90.00
loop_
_space_group_symop_operation_xyz
'x,y,z'
'-x,-y,-z'
'-x,-y,z+1/2'
'x,y,-z+1/2'
'x,-y+1/2,-z'
'-x,y+1/2,z'
'-x,y+1/2,-z+1/2'
'x,-y+1/2,z+1/2'
loop_
_atom_site_label
_atom_site_type_symbol
_atom_site_fract_x
_atom_site_fract_y
_atom_site_fract_z
Pr1 Pr 0.197 0.224 0.250
Pr2 Pr 0.203 0.750 0.000
Fe1 Fe 0.401 0.037 0.638
Sb1 Sb 0.003 0.013 0.624
Sb2 Sb 0.285 0.250 0.000
Sb3 Sb 0.288 0.732 0.250
Sb4 Sb 0.443 0.113 0.250
Sb5 Sb 0.472 0.750 0.000
# Total energy = -5.616 eV per atom

10.
# Pr5Fe2Sb | the Materials Project database | PBE | relaxed
data_Pr5Fe2Sb
_chemical_formula_sum 'Pr20 Fe8 Sb4'
_space_group_name_H-M_alt 'I 4/m c m'
_space_group_IT_number 140
_space_group_name_Hall '-I 4 2c'
_cell_length_a 7.948
_cell_length_b 7.948
_cell_length_c 14.105
_cell_angle_alpha 90.00
_cell_angle_beta 90.00
_cell_angle_gamma 90.00
loop_
_atom_site_label
_atom_site_type_symbol
_atom_site_fract_x
_atom_site_fract_y
_atom_site_fract_z
Pr1 Pr 0.000 0.000 0.000
Pr2 Pr 0.167 0.333 0.138
Fe1 Fe 0.100 0.400 0.500
Sb1 Sb 0.000 0.000 0.250
# Total energy = -5.800 eV per atom

11.
# PrFe4Sb12 | the Materials Project database | PBE | relaxed
data_PrFe4Sb12
_chemical_formula_sum 'Pr2 Fe8 Sb24'
_space_group_name_H-M_alt 'I m -3'
_space_group_IT_number 204
_space_group_name_Hall '-I 2 2 3'
_cell_length_a 9.194
_cell_length_b 9.194
_cell_length_c 9.194
_cell_angle_alpha 90.00
_cell_angle_beta 90.00
_cell_angle_gamma 90.00
loop_
_atom_site_label
_atom_site_type_symbol
_atom_site_fract_x
_atom_site_fract_y
_atom_site_fract_z
Pr1 Pr 0.000 0.000 0.000
Fe1 Fe 0.250 0.250 0.250
Sb1 Sb 0.000 0.335 0.163
# Total energy = -5.385 eV per atom

12.
# Pr6Fe13Sb | the Materials Project database | PBE | relaxed
data_Pr6Fe13Sb
_chemical_formula_sum 'Pr24 Fe52 Sb4'
_space_group_name_H-M_alt 'I 4/m c m'
_space_group_IT_number 140
_space_group_name_Hall '-I 4 2c'
_cell_length_a 8.116
_cell_length_b 8.116
_cell_length_c 23.602
_cell_angle_alpha 90.00
_cell_angle_beta 90.00
_cell_angle_gamma 90.00
loop_
_atom_site_label
_atom_site_type_symbol
_atom_site_fract_x
_atom_site_fract_y
_atom_site_fract_z
Pr1 Pr 0.000 0.000 0.104
Pr2 Pr 0.162 0.338 0.186
Fe1 Fe 0.000 0.500 0.000
Fe2 Fe 0.067 0.210 0.500
Fe3 Fe 0.113 0.387 0.407
Fe4 Fe 0.178 0.322 0.058
Sb1 Sb 0.000 0.000 0.250
# Total energy = -7.254 eV per atom